Record 1
RbSnAsO5: relaxed, PBE. Values from VASP.

Quantum ESPRESSO input file:
```
&SYSTEM
  ibrav = 0, nat = 64, ntyp = 4
/
ATOMIC_SPECIES
Rb 85.47 Rb.upf
Sn 118.71 Sn.upf
As 74.92 As.upf
O 16.00 O.upf
ATOMIC_POSITIONS angstrom
Rb 1.545 1.313 0.000
Rb 1.690 5.395 8.271
Rb 5.248 1.932 2.710
Rb 5.392 4.776 5.560
Rb 8.483 2.149 0.000
Rb 8.628 4.993 8.271
Rb 12.186 1.530 2.710
Rb 12.330 5.612 5.560
Sn 1.761 3.454 4.811
Sn 3.470 1.756 7.608
Sn 3.467 5.219 2.047
Sn 5.177 6.917 10.372
Sn 8.699 0.008 4.811
Sn 10.408 1.706 7.608
Sn 10.405 5.169 2.047
Sn 12.115 3.471 10.372
As 0.033 4.618 2.016
As 2.443 0.015 4.837
As 4.495 3.478 10.397
As 6.905 1.156 7.577
As 6.971 5.769 2.016
As 9.380 3.447 4.837
As 11.433 6.910 10.397
As 13.843 2.307 7.577
O 0.166 3.395 6.250
O 0.196 3.599 3.407
O 1.340 1.309 7.862
O 1.379 5.656 1.753
O 1.422 1.359 4.508
O 1.419 5.590 5.152
O 3.093 3.247 6.313
O 3.213 3.791 3.455
O 3.379 3.240 9.108
O 3.448 3.658 0.639
O 3.490 0.196 6.199
O 3.559 6.702 3.548
O 3.725 0.329 9.015
O 3.845 6.710 0.753
O 5.519 2.127 10.712
O 5.516 4.821 10.068
O 5.559 2.194 7.313
O 5.598 4.771 2.301
O 6.742 0.136 8.967
O 6.772 6.858 0.690
O 7.104 0.068 6.250
O 7.134 6.789 3.407
O 8.277 2.154 7.862
O 8.317 4.731 1.753
O 8.360 2.104 4.508
O 8.357 4.798 5.152
O 10.031 0.215 6.313
O 10.151 6.596 3.455
O 10.317 0.223 9.108
O 10.386 6.729 0.639
O 10.428 3.267 6.199
O 10.497 3.685 3.548
O 10.662 3.134 9.015
O 10.783 3.678 0.753
O 12.457 1.335 10.712
O 12.454 5.567 10.068
O 12.497 1.269 7.313
O 12.536 5.616 2.301
O 13.680 3.326 8.967
O 13.710 3.530 0.690
CELL_PARAMETERS angstrom
13.876 0.000 0.000
0.000 6.925 0.000
0.000 0.000 11.121
```

***

Record 2
CaO: relaxed, PBE. Values from VASP.

## Properties
Total magnetization (μB per atom): 0.000

Quantum ESPRESSO input file:
```
&SYSTEM
  ibrav = 0, nat = 100, ntyp = 2
/
ATOMIC_SPECIES
Ca 40.08 Ca.upf
O 16.00 O.upf
ATOMIC_POSITIONS angstrom
Ca 0.000 0.000 0.000
Ca -1.783 7.493 9.917
Ca -0.029 8.730 0.982
Ca 0.304 2.826 1.585
Ca -0.053 9.511 4.197
Ca -0.502 4.613 10.600
Ca 0.051 4.445 7.291
Ca 0.507 6.145 4.040
Ca 0.449 1.596 10.345
Ca 0.659 9.424 7.640
Ca 1.244 0.601 7.039
Ca 2.026 0.111 2.602
Ca 0.943 10.460 10.996
Ca 1.316 7.082 10.369
Ca 2.951 5.684 1.281
Ca 2.711 3.074 4.118
Ca 2.996 8.754 1.903
Ca 2.811 8.267 5.154
Ca 3.733 2.530 1.070
Ca 2.836 3.972 9.968
Ca 3.411 4.903 6.482
Ca 4.163 -0.259 5.126
Ca 3.746 10.511 8.341
Ca 3.868 9.042 11.094
Ca 5.230 6.023 3.777
Ca 5.244 11.621 2.251
Ca 5.721 2.911 3.648
Ca 5.031 7.000 8.087
Ca 4.903 1.538 11.234
Ca 5.498 2.635 7.649
Ca 6.502 6.296 0.442
Ca 6.979 9.102 3.826
Ca 7.190 0.459 5.703
Ca 6.928 -0.254 9.022
Ca 8.434 0.078 0.266
Ca 7.054 4.670 9.494
Ca 7.031 8.291 10.104
Ca 7.759 5.239 6.230
Ca 8.499 3.253 2.247
Ca 7.593 8.837 7.168
Ca 8.519 8.548 1.263
Ca 8.904 6.264 3.697
Ca 8.230 2.239 11.177
Ca 10.015 0.147 2.812
Ca 9.243 2.323 8.309
Ca 10.306 5.836 0.680
Ca 10.159 0.383 5.960
Ca 9.662 10.832 9.042
Ca 10.351 7.288 6.628
Ca 10.865 3.198 4.660
O -0.511 10.699 2.146
O -0.701 2.203 6.827
O -0.501 10.801 5.946
O -0.980 9.328 11.050
O -0.209 6.343 8.774
O 0.843 1.895 3.531
O 0.614 7.835 5.648
O 1.555 7.267 0.160
O 0.755 -0.344 8.966
O 1.844 3.956 0.404
O 2.089 0.979 0.478
O 0.846 3.518 9.148
O 1.400 4.461 5.417
O 2.200 9.937 3.602
O 2.847 6.947 3.242
O 2.309 10.587 6.666
O 2.252 8.935 9.464
O 2.816 1.992 10.955
O 4.063 1.180 3.207
O 2.676 5.615 11.519
O 4.099 10.285 0.752
O 4.225 4.237 2.610
O 4.472 3.198 5.590
O 4.488 6.799 5.895
O 4.481 4.679 8.526
O 5.451 0.418 7.100
O 4.583 11.143 10.589
O 5.599 10.751 4.392
O 6.790 1.790 1.560
O 5.630 9.190 8.397
O 5.438 7.496 11.404
O 6.878 7.300 2.485
O 7.225 4.610 3.983
O 6.607 1.952 9.735
O 7.764 10.507 2.080
O 8.290 4.737 0.355
O 7.246 6.655 8.292
O 7.551 3.534 7.518
O 8.266 7.841 5.293
O 8.580 -0.223 7.382
O 7.670 10.407 10.650
O 9.033 1.459 4.347
O 10.077 1.564 1.066
O 8.389 7.198 11.630
O 9.082 4.198 10.454
O 10.091 5.286 5.635
O 9.600 8.784 8.148
O 10.629 4.374 2.574
O 10.604 7.501 2.680
O 9.928 1.111 10.147
CELL_PARAMETERS angstrom
11.738 0.000 0.000
-0.552 11.797 0.000
-1.699 -0.725 11.941
```

***

Record 3
WN2: relaxed, PBE. Values from VASP.

## Properties
Total magnetization (μB per atom): 0.000

Quantum ESPRESSO input file:
```
&SYSTEM
  ibrav = 0, nat = 6, ntyp = 2
/
ATOMIC_SPECIES
W 183.84 W.upf
N 14.01 N.upf
ATOMIC_POSITIONS angstrom
W 0.000 0.000 0.000
W 0.000 2.911 2.154
N -0.437 1.456 1.077
N 1.456 2.475 3.230
N 0.437 4.367 1.077
N -1.456 3.348 3.230
CELL_PARAMETERS angstrom
-2.911 2.911 4.307
2.911 -2.911 4.307
2.911 2.911 -4.307
```

***

Record 4
Ba3LiTi3O8: relaxed, PBE. Values from VASP.

## Properties
Total magnetization (μB per atom): 0.159
Distance to the lowest polymorph of the same formula (eV per formula unit): 0.18

Quantum ESPRESSO input file:
```
&SYSTEM
  ibrav = 0, nat = 15, ntyp = 4
/
ATOMIC_SPECIES
Ba 137.33 Ba.upf
Li 6.94 Li.upf
Ti 47.87 Ti.upf
O 16.00 O.upf
ATOMIC_POSITIONS angstrom
Ba 0.000 0.000 0.000
Ba 2.766 0.000 4.947
Ba 7.138 0.000 2.167
Li 4.952 0.000 3.557
Ti -0.308 0.000 3.557
Ti 3.210 0.000 1.334
Ti 6.694 0.000 5.780
O 2.630 1.429 0.000
O 1.563 0.000 2.385
O 4.207 1.375 2.371
O 5.697 1.375 4.743
O 2.630 -1.429 0.000
O 4.207 -1.375 2.371
O 5.697 -1.375 4.743
O 8.341 0.000 4.730
CELL_PARAMETERS angstrom
5.260 -2.857 0.000
5.260 2.857 0.000
-0.615 0.000 7.115
```

***

Record 5
Na3InGaP3O12: relaxed, PBE. Values from VASP.

## Properties
Total magnetization (μB per atom): 0.000

Quantum ESPRESSO input file:
```
&SYSTEM
  ibrav = 0, nat = 80, ntyp = 5
/
ATOMIC_SPECIES
Na 22.99 Na.upf
In 114.82 In.upf
Ga 69.72 Ga.upf
P 30.97 P.upf
O 16.00 O.upf
ATOMIC_POSITIONS angstrom
Na 0.000 0.000 0.000
Na 0.327 3.030 3.975
Na 1.474 7.488 3.982
Na 1.876 4.543 0.019
Na 2.929 4.422 9.408
Na 3.423 4.437 3.127
Na 4.337 4.464 6.378
Na 4.874 7.395 10.257
Na 5.974 3.060 10.186
Na 6.433 0.037 6.333
Na 7.386 8.913 3.136
Na 7.897 8.892 9.396
In 3.065 7.153 7.639
In 3.166 1.796 11.380
In 3.239 7.182 1.310
In 7.555 2.691 1.281
Ga 3.159 1.814 5.056
Ga 7.616 6.296 5.068
Ga 7.618 6.260 11.389
Ga 7.685 2.676 7.611
P 0.477 0.051 6.321
P 1.284 4.454 6.308
P 1.785 7.485 10.848
P 1.885 1.440 1.968
P 4.492 1.381 8.181
P 4.501 7.600 4.538
P 4.953 4.481 12.627
P 5.903 8.877 12.613
P 6.285 3.166 4.568
P 6.387 5.804 8.200
P 8.882 5.894 1.926
P 8.896 3.100 10.793
O 0.241 7.379 10.738
O 0.332 1.542 2.105
O 0.371 3.497 7.082
O 0.464 5.445 5.427
O 1.252 8.052 7.234
O 1.399 0.927 5.429
O 1.499 6.012 2.069
O 1.508 3.115 10.716
O 2.093 0.049 10.902
O 2.150 8.871 1.977
O 2.193 3.659 5.304
O 2.233 5.161 7.302
O 2.265 6.779 12.130
O 2.359 2.129 0.668
O 2.530 6.780 9.690
O 2.547 2.163 3.171
O 3.832 6.878 3.348
O 3.875 2.184 9.353
O 3.927 1.962 6.867
O 3.997 5.192 0.965
O 3.994 6.820 5.775
O 4.078 3.789 11.526
O 4.118 0.149 4.635
O 4.237 8.807 8.321
O 4.735 3.072 4.498
O 4.824 5.885 8.318
O 5.032 7.992 0.705
O 5.090 0.916 11.741
O 5.754 3.488 0.691
O 5.847 5.486 11.857
O 6.051 1.515 8.272
O 6.052 7.542 4.478
O 6.639 4.675 4.600
O 6.689 4.281 8.195
O 6.788 8.096 11.576
O 6.806 2.465 5.852
O 6.861 0.680 0.943
O 6.900 6.505 6.914
O 6.950 2.418 3.383
O 6.970 6.541 9.435
O 8.243 6.639 3.136
O 8.246 2.409 9.559
O 8.385 6.514 0.594
O 8.436 4.567 10.953
O 8.457 0.850 7.249
O 8.454 2.275 12.031
O 8.526 8.179 5.310
O 8.630 4.369 1.986
CELL_PARAMETERS angstrom
8.936 0.000 0.000
-0.004 8.948 0.000
-0.008 -0.071 12.691
```

***

Number 1: electronic total energy -377.2 eV/cell. Number 2: electronic total energy -614.4 eV/cell. Number 3: electronic total energy -60.5 eV/cell. Number 4: electronic total energy -111.0 eV/cell. Number 5: electronic total energy -511.7 eV/cell.